Material: Li7Mn2Co3O12
Method: DFT, PBE with a Hubbard U
State: relaxed

Computed properties:
formation energy = -1.746 eV per atom
V = 9.298 A^3/atom
energy above the most stable polymorph in this dataset = 0.188 eV per atom

```
Li7Mn2Co3O12
1.0
1.439 2.613 0.000
-1.439 2.613 0.000
0.000 0.640 29.678
O Li Co Mn
12 7 3 2
direct
0.310 0.310 0.296 O
0.994 0.994 0.870 O
0.334 0.334 0.794 O
0.666 0.666 0.206 O
0.006 0.006 0.130 O
0.690 0.690 0.704 O
0.336 0.336 0.042 O
0.664 0.664 0.958 O
0.977 0.977 0.629 O
0.671 0.671 0.461 O
0.329 0.329 0.539 O
0.023 0.023 0.371 O
0.657 0.657 0.081 Li
0.003 0.003 0.752 Li
0.000 0.000 0.000 Li
0.997 0.997 0.248 Li
0.335 0.335 0.419 Li
0.665 0.665 0.581 Li
0.343 0.343 0.919 Li
0.671 0.671 0.833 Co
0.329 0.329 0.167 Co
0.000 0.000 0.500 Co
0.334 0.334 0.666 Mn
0.666 0.666 0.334 Mn
```


Material: Li5MnCo2O8
Method: DFT, PBE with a Hubbard U
State: relaxed

Computed properties:
formation energy = -1.803 eV per atom
V = 8.914 A^3/atom
energy above the most stable polymorph in this dataset = 0.083 eV per atom

```
Li5MnCo2O8
1.0
1.459 6.362 0.000
-1.459 6.362 0.000
0.000 6.191 7.683
Li O Co Mn
5 8 2 1
direct
0.374 0.374 0.872 Li
0.626 0.626 0.128 Li
0.500 0.500 0.500 Li
0.875 0.875 0.382 Li
0.125 0.125 0.618 Li
0.442 0.442 0.166 O
0.180 0.180 0.929 O
0.304 0.304 0.578 O
0.926 0.926 0.696 O
0.558 0.558 0.834 O
0.820 0.820 0.071 O
0.696 0.696 0.422 O
0.074 0.074 0.304 O
0.769 0.769 0.735 Co
0.231 0.231 0.265 Co
0.000 0.000 0.000 Mn
```


Material: Li7Mn4CoO12
Method: DFT, PBE with a Hubbard U
State: relaxed

Computed properties:
formation energy = -2.018 eV per atom
V = 9.197 A^3/atom
energy above the most stable polymorph in this dataset = 0.066 eV per atom

```
Li7Mn4CoO12
1.0
-3.003 0.000 0.000
1.066 7.570 0.000
-0.341 -3.000 -9.709
O Mn Co Li
12 4 1 7
direct
0.615 0.170 0.117 O
0.281 0.500 0.116 O
0.049 0.161 0.880 O
0.383 0.830 0.882 O
0.073 0.188 0.387 O
0.718 0.499 0.883 O
0.600 0.187 0.616 O
0.272 0.496 0.611 O
0.402 0.816 0.382 O
0.950 0.837 0.118 O
0.779 0.511 0.398 O
0.881 0.809 0.608 O
0.667 0.333 0.999 Mn
0.000 0.000 0.000 Mn
0.334 0.667 0.001 Mn
0.338 0.673 0.499 Mn
0.664 0.322 0.504 Co
0.163 0.334 0.745 Li
0.826 0.662 0.747 Li
0.509 0.002 0.745 Li
0.160 0.331 0.250 Li
0.991 0.995 0.492 Li
0.500 0.998 0.262 Li
0.847 0.678 0.257 Li
```


Material: Li7Mn4CoO12
Method: DFT, PBE with a Hubbard U
State: relaxed

Computed properties:
formation energy = -2.084 eV per atom
V = 8.988 A^3/atom
energy above the most stable polymorph in this dataset = 0.000 eV per atom

```
Li7Mn4CoO12
1.0
-4.967 -0.007 3.098
4.518 -0.004 7.157
4.749 8.709 2.021
Mn O Li Co
8 24 14 2
direct
0.001 0.996 0.002 Mn
0.501 0.502 0.002 Mn
0.167 0.332 0.835 Mn
0.166 0.831 0.332 Mn
0.666 0.337 0.331 Mn
0.998 0.503 0.495 Mn
0.499 0.001 0.498 Mn
0.669 0.831 0.839 Mn
0.181 0.055 0.344 O
0.858 0.921 0.167 O
0.359 0.917 0.670 O
0.478 0.750 0.487 O
0.513 0.738 0.993 O
0.679 0.057 0.847 O
0.980 0.769 0.993 O
0.189 0.583 0.846 O
0.809 0.914 0.670 O
0.857 0.419 0.663 O
0.360 0.424 0.166 O
0.808 0.412 0.166 O
0.485 0.279 0.989 O
0.663 0.102 0.344 O
0.666 0.595 0.846 O
0.987 0.276 0.487 O
0.512 0.263 0.487 O
0.003 0.232 0.989 O
0.306 0.909 0.167 O
0.154 0.596 0.341 O
0.001 0.738 0.487 O
0.687 0.564 0.341 O
0.307 0.416 0.663 O
0.155 0.070 0.846 O
0.998 0.002 0.497 Li
0.007 0.500 0.006 Li
0.333 0.167 0.166 Li
0.661 0.835 0.327 Li
0.499 0.994 0.006 Li
0.833 0.667 0.167 Li
0.334 0.666 0.168 Li
0.333 0.166 0.667 Li
0.499 0.501 0.497 Li
0.834 0.667 0.667 Li
0.833 0.167 0.166 Li
0.167 0.338 0.327 Li
0.668 0.332 0.836 Li
0.168 0.832 0.836 Li
0.333 0.667 0.667 Co
0.833 0.167 0.667 Co
```